No. 1
Computed, not measured: Cs2PdI6 after structural relaxation at the GGA-PBE level of DFT.

```
data_Cs2PdI6
_cell_length_a 9.230
_cell_length_b 9.230
_cell_length_c 9.332
_cell_angle_alpha 90.00
_cell_angle_beta 90.00
_cell_angle_gamma 90.00
_space_group_name_H-M_alt 'I 4/m m m'
_space_group_IT_number 139
_space_group_name_Hall '-I 4 2'
loop_
_atom_site_label
_atom_site_type_symbol
_atom_site_fract_x
_atom_site_fract_y
_atom_site_fract_z
Cs1 Cs 0.000 0.500 0.250
Pd1 Pd 0.000 0.000 0.000
I1 I 0.000 0.000 0.346
I2 I 0.204 0.204 0.000
```

E_form (kJ/mol of formula units): -901
Crystal system: tetragonal

=====

No. 2
Computed, not measured: Hf2MnRh after structural relaxation at the GGA-PBE level of DFT.

```
data_Hf2MnRh
_cell_length_a 6.425
_cell_length_b 6.425
_cell_length_c 6.425
_cell_angle_alpha 90.00
_cell_angle_beta 90.00
_cell_angle_gamma 90.00
_space_group_name_H-M_alt 'F m -3 m'
_space_group_IT_number 225
_space_group_name_Hall '-F 4 2 3'
loop_
_atom_site_label
_atom_site_type_symbol
_atom_site_fract_x
_atom_site_fract_y
_atom_site_fract_z
Hf1 Hf 0.250 0.250 0.250
Mn1 Mn 0.000 0.000 0.000
Rh1 Rh 0.000 0.000 0.500
```

E_form (kJ/mol of formula units): -212
Crystal system: cubic

=====

Among the records above, which one has the lowest E_form?
Cs2PdI6

=====

Which value of E_form does entry 1 give?
-901 kJ/mol of formula units

=====

Among the records above, which one has the highest E_form?
Hf2MnRh

=====

E_form of number 2 (Hf2MnRh)?
-212 kJ/mol of formula units